VASP calculation (PBE with a Hubbard U) on an optimized crystal structure of FeHO2.

a = 3.0601 Å, b = 4.4845 Å, c = 5.0432 Å
α = 90.00°, β = 90.00°, γ = 90.00°
With the nearest neighbours (Å) after each atom.
Atoms (fractional coordinates):
Fe (0.0000, 0.7230, 0.0102)  6 O 2.00-2.18
Fe (0.5000, 0.2770, 0.5102)  6 O 2.00-2.18
H (0.0000, 0.8139, 0.4915)  1 O 1.02
H (0.5000, 0.1861, 0.9915)  1 O 1.02
O (0.0000, 0.9944, 0.3684)  1 H 1.02
O (0.5000, 0.0056, 0.8684)  1 H 1.02
O (0.0000, 0.5102, 0.6616)  1 H 1.61
O (0.5000, 0.4898, 0.1616)  1 H 1.61

Calculated values
SG: Pmn2_1
formation enthalpy at 0 K: -1.499 eV per atom
piezoelectric modulus e_max: 1.6 C/m2